1.
A geometry-optimized CaNdAlO4 structure. Source: Materials Project, functional GGA-PBE.

```
data_CaNdAlO4
_symmetry_space_group_name_H-M 'I 4 m m'
_symmetry_Int_Tables_number 107
_symmetry_space_group_name_Hall 'I 4 -2'
_cell_length_a 3.7089
_cell_length_b 3.7089
_cell_length_c 12.2190
_cell_angle_alpha 90.00
_cell_angle_beta 90.00
_cell_angle_gamma 90.00
loop_
_atom_site_label
_atom_site_type_symbol
_atom_site_fract_x
_atom_site_fract_y
_atom_site_fract_z
_atom_site_occupancy
Ca1 Ca 0.0000 0.0000 0.0000 1
Nd1 Nd 0.0000 0.0000 0.7149 1
Al1 Al 0.0000 0.0000 0.3662 1
O1 O 0.0000 0.0000 0.1886 1
O2 O 0.0000 0.0000 0.5228 1
O3 O 0.0000 0.5000 0.3539 1
```

---

2.
A geometry-optimized CaAl2O4 structure. Source: Materials Project, functional GGA-PBE.

Output
* relative energy among the computed polymorphs: 8.0 meV per atom

```
data_CaAl2O4
_symmetry_space_group_name_H-M 'P 63'
_symmetry_Int_Tables_number 173
_cell_length_a 8.8360
_cell_length_b 8.8360
_cell_length_c 8.2026
_cell_angle_alpha 90.00
_cell_angle_beta 90.00
_cell_angle_gamma 120.00
loop_
_symmetry_equiv_pos_as_xyz
'x,y,z'
'x-y,x,z+1/2'
'-y,x-y,z'
'-x,-y,z+1/2'
'-x+y,-x,z'
'y,-x+y,z+1/2'
loop_
_atom_site_label
_atom_site_type_symbol
_atom_site_fract_x
_atom_site_fract_y
_atom_site_fract_z
_atom_site_occupancy
Ca1 Ca 0.0000 0.0000 0.0000 1
Ca2 Ca 0.3333 0.6667 0.0106 1
Ca3 Ca 0.3333 0.6667 0.5780 1
Al1 Al 0.0209 0.3391 0.7105 1
Al2 Al 0.0281 0.3431 0.3180 1
O1 O 0.0981 0.5524 0.7930 1
O2 O 0.1123 0.2257 0.8091 1
O3 O 0.1210 0.3850 0.5151 1
O4 O 0.2078 0.7906 0.1838 1
```

---

Number 1: formation energy from the elements -3559 meV per atom, total DFT energy (no corrections) -7.496 eV per atom. Number 2: formation energy from the elements -3446 meV per atom, total DFT energy (no corrections) -7.238 eV per atom.